(1)
NaHoF4: optimized geometry, r²SCAN.

```
12
Lattice="1.604 -2.868 5.632 3.410 4.221 3.616 -5.726 0.587 -3.063" Properties=species:S:1:pos:R:3 pbc="T T T"
Na 0.000 0.000 0.000
Na -0.807 -0.802 3.596
Ho 2.507 0.676 4.624
Ho 0.096 2.742 2.588
F -4.227 -0.639 0.865
F 2.643 -0.845 6.293
F -1.022 0.883 1.946
F 2.262 2.240 3.008
F -2.101 3.123 2.203
F 1.564 1.395 6.550
F -2.306 0.424 -0.332
F 0.341 1.178 4.204
```

## Properties
Total magnetization: 0.00 μB per cell
Crystal system: tetragonal
Calculated formation energy: -4.0002 eV/atom
Space-group type: No. 141

(2)
Pm2IrPd: optimized geometry, r²SCAN.

```
4
Lattice="-4.370 -2.034 -1.327 -4.280 1.937 1.709 -3.054 2.447 -3.111" Properties=species:S:1:pos:R:3 pbc="T T T"
Pm 0.000 0.000 0.000
Pm -5.852 1.175 -1.364
Ir -2.926 0.587 -0.682
Pd -8.778 1.762 -2.046
```

## Properties
Total magnetization: 0.00 μB per cell
Crystal system: cubic
Calculated formation energy: -0.8215 eV/atom
Space-group type: No. 225

(3)
US2: optimized geometry, r²SCAN.

```
12
Lattice="4.070 0.000 0.000 0.000 7.159 0.000 0.000 0.000 8.564" Properties=species:S:1:pos:R:3 pbc="T T T"
U 1.017 1.816 5.337
U 3.052 5.342 3.227
U 1.017 5.396 7.509
U 3.052 1.763 1.055
S 1.017 3.821 1.401
S 3.052 3.338 7.163
S 1.017 0.242 2.881
S 3.052 6.917 5.683
S 1.017 0.988 7.952
S 3.052 6.171 0.613
S 1.017 4.567 4.894
S 3.052 2.592 3.669
```

## Properties
Total magnetization: 8.00 μB per cell
Crystal system: orthorhombic
Calculated formation energy: -1.7746 eV/atom
Space-group type: No. 62

(4)
LaYbPd2: optimized geometry, r²SCAN.

```
4
Lattice="-4.743 -1.385 0.959 -1.930 0.652 4.603 -3.536 3.498 0.774" Properties=species:S:1:pos:R:3 pbc="T T T"
La -5.105 1.382 3.168
Yb 0.000 0.000 0.000
Pd -2.552 0.691 1.584
Pd -7.657 2.074 4.752
```

## Properties
Total magnetization: 0.00 μB per cell
Crystal system: cubic
Calculated formation energy: -0.8363 eV/atom
Space-group type: No. 225

(5)
HfZnPt2: optimized geometry, r²SCAN.

```
4
Lattice="-0.830 -0.709 4.379 -1.577 3.358 2.570 -4.255 -0.114 1.500" Properties=species:S:1:pos:R:3 pbc="T T T"
Hf -1.665 0.634 2.112
Zn -4.996 1.901 6.337
Pt 0.000 0.000 0.000
Pt -3.331 1.267 4.225
```

## Properties
Total magnetization: 0.00 μB per cell
Crystal system: cubic
Calculated formation energy: -0.9495 eV/atom
Space-group type: No. 225

(6)
Na2MgCl4: optimized geometry, r²SCAN.

```
14
Lattice="-3.797 -0.122 -0.024 0.019 -1.870 6.630 -0.386 11.354 3.204" Properties=species:S:1:pos:R:3 pbc="T T T"
Na -2.160 7.517 2.738
Na -2.004 1.844 7.072
Na -1.961 1.224 3.319
Na -2.203 8.137 6.491
Mg -0.183 4.742 4.917
Mg 0.000 0.000 0.000
Cl -0.074 2.007 1.426
Cl -0.293 7.476 8.407
Cl -0.105 2.285 5.083
Cl -0.261 7.198 4.750
Cl -2.263 10.352 4.629
Cl -1.901 -0.991 5.181
Cl -2.094 4.732 6.622
Cl -2.070 4.630 3.188
```

## Properties
Total magnetization: 0.00 μB per cell
Crystal system: orthorhombic
Calculated formation energy: -2.0501 eV/atom
Space-group type: No. 55

(7)
B2Ru: optimized geometry, r²SCAN.

```
6
Lattice="2.867 0.000 0.000 0.000 4.040 0.000 0.000 0.000 4.652" Properties=species:S:1:pos:R:3 pbc="T T T"
B 0.717 2.575 0.253
B 2.150 1.465 4.398
B 0.717 2.575 2.073
B 2.150 1.465 2.579
Ru 0.717 0.619 1.163
Ru 2.150 3.420 3.489
```

## Properties
Total magnetization: 0.00 μB per cell
Crystal system: orthorhombic
Calculated formation energy: -0.3083 eV/atom
Space-group type: No. 59

(8)
HfCuSi2: optimized geometry, r²SCAN.

```
8
Lattice="3.661 0.000 0.000 0.000 3.661 0.000 0.000 0.000 8.964" Properties=species:S:1:pos:R:3 pbc="T T T"
Hf 2.746 2.746 2.383
Hf 0.915 0.915 6.581
Cu 2.746 0.915 0.000
Cu 0.915 2.746 0.000
Si 0.915 2.746 4.482
Si 2.746 0.915 4.482
Si 0.915 0.915 1.525
Si 2.746 2.746 7.438
```

## Properties
Total magnetization: 0.00 μB per cell
Crystal system: tetragonal
Calculated formation energy: -0.4762 eV/atom
Space-group type: No. 129

- What is the formula in the eighth record?
  HfCuSi2

- What is the calculated formation energy in the first record?
  -4.0002 eV/atom

- Which of these has the lowest calculated formation energy?
  NaHoF4